YO2F | PBE-GGA | relaxed

Cell and atoms, written as CIF:
```
data_YO2F
_chemical_formula_sum 'Y2 O4 F2'
_cell_length_a 3.730
_cell_length_b 5.822
_cell_length_c 5.972
_cell_angle_alpha 64.46
_cell_angle_beta 90.00
_cell_angle_gamma 90.00
_symmetry_space_group_name_H-M 'P 1'
_symmetry_Int_Tables_number 1
_symmetry_space_group_name_Hall 'P 1'
loop_
_atom_site_label
_atom_site_type_symbol
_atom_site_fract_x
_atom_site_fract_y
_atom_site_fract_z
Y1 Y 0.000 0.635 0.680
Y2 Y 0.500 0.361 0.312
F1 F 0.000 0.618 0.302
F2 F 0.000 0.310 0.093
O1 O 0.500 0.921 0.465
O2 O 0.500 0.401 0.671
O3 O 0.500 0.673 0.886
O4 O 0.000 0.080 0.591
```

Results
formation energy from the elements = -2740.9 meV/atom
total moment = 3.98 Bohr magnetons per cell

=====

K2ZnTe2 | PBE-GGA | relaxed

Cell and atoms, written as CIF:
```
data_K2ZnTe2
_chemical_formula_sum 'K4 Zn2 Te4'
_cell_length_a 8.740
_cell_length_b 8.740
_cell_length_c 8.740
_cell_angle_alpha 132.44
_cell_angle_beta 130.11
_cell_angle_gamma 71.39
_symmetry_space_group_name_H-M 'P 1'
_symmetry_Int_Tables_number 1
_symmetry_space_group_name_Hall 'P 1'
loop_
_atom_site_label
_atom_site_type_symbol
_atom_site_fract_x
_atom_site_fract_y
_atom_site_fract_z
K1 K 0.543 0.359 0.183
K2 K 0.824 0.141 0.683
K3 K 0.457 0.641 0.817
K4 K 0.176 0.859 0.317
Te1 Te 0.087 0.393 0.693
Te2 Te 0.700 0.893 0.807
Te3 Te 0.913 0.607 0.307
Te4 Te 0.300 0.107 0.193
Zn1 Zn 0.000 0.250 0.250
Zn2 Zn 0.000 0.750 0.750
```

Results
formation energy from the elements = -1044.2 meV/atom

=====

Na4BeAlSi4ClO12 | PBE-GGA | relaxed

Cell and atoms, written as CIF:
```
data_Na4BeAlSi4ClO12
_chemical_formula_sum 'Na8 Be2 Al2 Si8 Cl2 O24'
_cell_length_a 7.714
_cell_length_b 7.714
_cell_length_c 12.613
_cell_angle_alpha 89.95
_cell_angle_beta 89.95
_cell_angle_gamma 109.88
_symmetry_space_group_name_H-M 'P 1'
_symmetry_Int_Tables_number 1
_symmetry_space_group_name_Hall 'P 1'
loop_
_atom_site_label
_atom_site_type_symbol
_atom_site_fract_x
_atom_site_fract_y
_atom_site_fract_z
Cl1 Cl 0.000 0.499 0.000
Cl2 Cl 0.499 0.000 0.500
O1 O 0.554 0.061 0.153
O2 O 0.441 0.346 0.156
O3 O 0.004 0.210 0.705
O4 O 0.951 0.836 0.338
O5 O 0.605 0.798 0.991
O6 O 0.210 0.004 0.205
O7 O 0.035 0.530 0.349
O8 O 0.346 0.441 0.656
O9 O 0.346 0.447 0.351
O10 O 0.312 0.104 0.004
O11 O 0.869 0.957 0.148
O12 O 0.696 0.503 0.295
O13 O 0.798 0.605 0.491
O14 O 0.188 0.012 0.810
O15 O 0.530 0.035 0.849
O16 O 0.447 0.346 0.851
O17 O 0.836 0.951 0.838
O18 O 0.692 0.500 0.700
O19 O 0.957 0.869 0.648
O20 O 0.061 0.554 0.653
O21 O 0.503 0.696 0.795
O22 O 0.500 0.692 0.200
O23 O 0.104 0.312 0.504
O24 O 0.012 0.188 0.310
Si1 Si 0.005 0.009 0.749
Si2 Si 0.615 0.876 0.871
Si3 Si 0.497 0.489 0.755
Si4 Si 0.489 0.497 0.255
Si5 Si 0.009 0.005 0.249
Si6 Si 0.125 0.379 0.625
Si7 Si 0.379 0.125 0.125
Si8 Si 0.876 0.615 0.371
Na1 Na 0.707 0.189 0.322
Na2 Na 0.136 0.024 0.489
Na3 Na 0.024 0.136 0.989
Na4 Na 0.189 0.707 0.822
Na5 Na 0.625 0.483 0.997
Na6 Na 0.663 0.179 0.691
Na7 Na 0.179 0.663 0.191
Na8 Na 0.483 0.625 0.497
Al1 Al 0.632 0.877 0.122
Al2 Al 0.877 0.632 0.622
Be1 Be 0.124 0.371 0.379
Be2 Be 0.371 0.124 0.879
```

Results
energy above the most stable polymorph in this dataset = 4.5 kJ/mol of atoms
formation energy from the elements = -2933.7 meV/atom
total moment = 0.00 Bohr magnetons per cell

=====

TlNCl4 | PBE-GGA | relaxed

Cell and atoms, written as CIF:
```
data_TlNCl4
_chemical_formula_sum 'Tl1 N1 Cl4'
_cell_length_a 7.259
_cell_length_b 7.259
_cell_length_c 5.208
_cell_angle_alpha 90.00
_cell_angle_beta 90.00
_cell_angle_gamma 95.57
_symmetry_space_group_name_H-M 'P 1'
_symmetry_Int_Tables_number 1
_symmetry_space_group_name_Hall 'P 1'
loop_
_atom_site_label
_atom_site_type_symbol
_atom_site_fract_x
_atom_site_fract_y
_atom_site_fract_z
Cl1 Cl 0.916 0.631 0.000
Cl2 Cl 0.849 0.151 0.742
Cl3 Cl 0.849 0.151 0.258
Cl4 Cl 0.369 0.084 0.000
Tl1 Tl 0.059 0.941 0.000
N1 N 0.427 0.573 0.500
```

Results
formation energy from the elements = 145.1 meV/atom
total moment = 3.00 Bohr magnetons per cell

=====

K3TmF6 | PBE-GGA | relaxed

Cell and atoms, written as CIF:
```
data_K3TmF6
_chemical_formula_sum 'K6 Tm2 F12'
_cell_length_a 6.572
_cell_length_b 6.357
_cell_length_c 11.082
_cell_angle_alpha 55.32
_cell_angle_beta 90.00
_cell_angle_gamma 90.00
_symmetry_space_group_name_H-M 'P 1'
_symmetry_Int_Tables_number 1
_symmetry_space_group_name_Hall 'P 1'
loop_
_atom_site_label
_atom_site_type_symbol
_atom_site_fract_x
_atom_site_fract_y
_atom_site_fract_z
K1 K 0.451 0.735 0.253
K2 K 0.951 0.265 0.247
K3 K 0.049 0.735 0.753
K4 K 0.500 0.500 0.000
K5 K 0.000 0.500 0.500
K6 K 0.549 0.265 0.747
F1 F 0.325 0.676 0.547
F2 F 0.675 0.324 0.453
F3 F 0.271 0.232 0.936
F4 F 0.825 0.324 0.953
F5 F 0.549 0.118 0.278
F6 F 0.175 0.676 0.047
F7 F 0.729 0.768 0.064
F8 F 0.771 0.768 0.564
F9 F 0.049 0.882 0.222
F10 F 0.951 0.118 0.778
F11 F 0.229 0.232 0.436
F12 F 0.451 0.882 0.722
Tm1 Tm 0.000 0.000 0.000
Tm2 Tm 0.500 0.000 0.500
```

Results
formation energy from the elements = -3628.6 meV/atom

=====

Cs3Tm2I9 | PBE-GGA | relaxed

Cell and atoms, written as CIF:
```
data_Cs3Tm2I9
_chemical_formula_sum 'Cs6 Tm4 I18'
_cell_length_a 8.602
_cell_length_b 8.602
_cell_length_c 21.641
_cell_angle_alpha 90.00
_cell_angle_beta 90.00
_cell_angle_gamma 120.00
_symmetry_space_group_name_H-M 'P 1'
_symmetry_Int_Tables_number 1
_symmetry_space_group_name_Hall 'P 1'
loop_
_atom_site_label
_atom_site_type_symbol
_atom_site_fract_x
_atom_site_fract_y
_atom_site_fract_z
I1 I 0.834 0.166 0.414
I2 I 0.492 0.985 0.750
I3 I 0.166 0.333 0.914
I4 I 0.985 0.492 0.250
I5 I 0.508 0.015 0.250
I6 I 0.508 0.492 0.250
I7 I 0.492 0.508 0.750
I8 I 0.834 0.166 0.086
I9 I 0.667 0.834 0.914
I10 I 0.166 0.834 0.586
I11 I 0.333 0.166 0.086
I12 I 0.015 0.508 0.750
I13 I 0.166 0.333 0.586
I14 I 0.834 0.667 0.086
I15 I 0.834 0.667 0.414
I16 I 0.333 0.166 0.414
I17 I 0.166 0.834 0.914
I18 I 0.667 0.834 0.586
Cs1 Cs 0.667 0.333 0.570
Cs2 Cs 0.000 0.000 0.750
Cs3 Cs 0.000 0.000 0.250
Cs4 Cs 0.667 0.333 0.930
Cs5 Cs 0.333 0.667 0.070
Cs6 Cs 0.333 0.667 0.430
Tm1 Tm 0.667 0.333 0.344
Tm2 Tm 0.333 0.667 0.656
Tm3 Tm 0.667 0.333 0.156
Tm4 Tm 0.333 0.667 0.844
```

Results
formation energy from the elements = -1737.4 meV/atom

=====

Th3Pt5 | PBE-GGA | relaxed

Cell and atoms, written as CIF:
```
data_Th3Pt5
_chemical_formula_sum 'Th3 Pt5'
_cell_length_a 7.700
_cell_length_b 7.700
_cell_length_c 3.610
_cell_angle_alpha 90.00
_cell_angle_beta 90.00
_cell_angle_gamma 120.00
_symmetry_space_group_name_H-M 'P 1'
_symmetry_Int_Tables_number 1
_symmetry_space_group_name_Hall 'P 1'
loop_
_atom_site_label
_atom_site_type_symbol
_atom_site_fract_x
_atom_site_fract_y
_atom_site_fract_z
Th1 Th 0.000 0.274 0.000
Th2 Th 0.726 0.726 0.000
Th3 Th 0.274 0.000 0.000
Pt1 Pt 0.000 0.659 0.500
Pt2 Pt 0.667 0.333 0.000
Pt3 Pt 0.659 0.000 0.500
Pt4 Pt 0.333 0.667 0.000
Pt5 Pt 0.341 0.341 0.500
```

Results
energy above the most stable polymorph in this dataset = 39.8 kJ/mol of atoms
formation energy from the elements = -821.1 meV/atom
total moment = 0.01 Bohr magnetons per cell

=====

Sb2Te | PBE-GGA | relaxed

Cell and atoms, written as CIF:
```
data_Sb2Te
_chemical_formula_sum 'Sb6 Te3'
_cell_length_a 4.366
_cell_length_b 4.366
_cell_length_c 17.830
_cell_angle_alpha 90.00
_cell_angle_beta 90.00
_cell_angle_gamma 120.00
_symmetry_space_group_name_H-M 'P 1'
_symmetry_Int_Tables_number 1
_symmetry_space_group_name_Hall 'P 1'
loop_
_atom_site_label
_atom_site_type_symbol
_atom_site_fract_x
_atom_site_fract_y
_atom_site_fract_z
Te1 Te 0.667 0.333 0.794
Te2 Te 0.000 0.000 0.000
Te3 Te 0.333 0.667 0.206
Sb1 Sb 0.000 0.000 0.652
Sb2 Sb 0.000 0.000 0.348
Sb3 Sb 0.333 0.667 0.566
Sb4 Sb 0.667 0.333 0.434
Sb5 Sb 0.667 0.333 0.111
Sb6 Sb 0.333 0.667 0.889
```

Results
energy above the most stable polymorph in this dataset = 0.0 kJ/mol of atoms
formation energy from the elements = -204.1 meV/atom